[1]
An optimized crystal structure of HoCuW2O8, computed with GGA+U.

a b c (Å): 5.9966 5.0814 10.9978
angles (deg): 65.61 90.00 90.00
With the nearest neighbours (Å) after each atom.
Sites, in units of the cell vectors:
O1 0.6392 0.7305 0.3626  1 W 1.85
O2 0.3608 0.2695 0.6374  1 W 1.85
W1 0.1693 0.2372 0.5123  4 O 1.83-2.00
Cu1 0.2792 0.5000 0.7500  4 O 2.08-2.11
O3 0.6343 0.7851 0.6105  1 W 1.83
O4 0.0874 0.8402 0.6113  1 W 1.92, 1 Cu 2.11
W2 0.8307 0.7628 0.4877  4 O 1.83-2.00
O5 0.0874 0.1598 0.8887  1 W 1.92, 1 Cu 2.11
O6 0.3657 0.2149 0.3895  1 W 1.83
O7 0.9126 0.8402 0.1113  1 W 1.92, 1 Cu 2.11
O8 0.1144 0.6584 0.4036  2 W 2.00-2.11
O9 0.6392 0.2695 0.1374  1 W 1.85
Ho1 0.6692 0.0000 0.7500  6 O 2.23-2.33
O10 0.6343 0.2149 0.8895  1 W 1.83
O11 0.8856 0.6584 0.9036  2 W 2.00-2.11
O12 0.3657 0.7851 0.1105  1 W 1.83
Ho2 0.3308 0.0000 0.2500  6 O 2.23-2.33
W3 0.8307 0.2372 0.0123  4 O 1.83-2.00
O13 0.1144 0.3416 0.0964  2 W 2.00-2.11
O14 0.9126 0.1598 0.3887  1 W 1.92, 1 Cu 2.11
Cu2 0.7208 0.5000 0.2500  4 O 2.08-2.11
O15 0.8856 0.3416 0.5964  2 W 2.00-2.11
O16 0.3608 0.7305 0.8626  1 W 1.85
W4 0.1693 0.7628 0.9877  4 O 1.83-2.00

Output
Symmetry: P2/c
Formation energy: -2.38 eV per atom
Calculated volume: 305.2 Å³ per cell
Magnetic moment: 0.000 Bohr magnetons per cell

[2]
An optimized crystal structure of Fe2As3O12, computed with GGA+U.

a b c (Å): 8.6972 12.3273 8.9992
angles (deg): 90.00 90.00 90.73
With the nearest neighbours (Å) after each atom.
Sites, in units of the cell vectors:
O1 0.9281 0.8104 0.4258  1 As 1.71
As1 0.3867 0.3601 0.6125  4 O 1.71-1.73
O2 0.8619 0.0176 0.5771  1 As 1.72
O3 0.6157 0.3377 0.3128  1 As 1.73
O4 0.6381 0.4824 0.0771  1 As 1.72
O5 0.2552 0.4558 0.5567  1 As 1.73
As2 0.8867 0.8601 0.8875  4 O 1.71-1.73
O6 0.5969 0.0946 0.1342  1 As 1.72
As3 0.9630 0.5087 0.7494  4 O 1.71-1.73
As4 0.8884 0.1519 0.6216  4 O 1.71-1.73
O7 0.9273 0.3883 0.3283  1 As 1.73
O8 0.0719 0.1896 0.5742  1 As 1.71
O9 0.1157 0.8377 0.1872  1 As 1.73
Fe1 0.7539 0.8829 0.5284  6 O 1.95-2.01
O10 0.8327 0.8138 0.7147  1 As 1.72
As5 0.6133 0.6399 0.3875  4 O 1.71-1.73
O11 0.5727 0.1117 0.8283  1 As 1.73
O12 0.1381 0.9824 0.4229  1 As 1.72
O13 0.0731 0.9068 0.8841  1 As 1.71
O14 0.4281 0.3104 0.0742  1 As 1.71
O15 0.4269 0.5932 0.3841  1 As 1.71
Fe2 0.2461 0.1171 0.4716  6 O 1.95-2.01
O16 0.9402 0.5606 0.1151  1 As 1.72
O17 0.4031 0.9054 0.8658  1 As 1.72
O18 0.9031 0.4054 0.6342  1 As 1.72
Fe3 0.7461 0.6171 0.0284  6 O 1.95-2.01
O19 0.5598 0.9394 0.6151  1 As 1.72
As6 0.0370 0.4913 0.2506  4 O 1.71-1.73
O20 0.6673 0.6862 0.2147  1 As 1.72
O21 0.3327 0.3138 0.7853  1 As 1.72
O22 0.7552 0.9558 0.9433  1 As 1.73
O23 0.3730 0.2526 0.4920  1 As 1.72
As7 0.3884 0.6519 0.8784  4 O 1.71-1.73
As8 0.1133 0.1399 0.1125  4 O 1.71-1.73
O24 0.7448 0.5442 0.4433  1 As 1.73
As9 0.4630 0.0087 0.7506  4 O 1.71-1.73
O25 0.2448 0.0442 0.0567  1 As 1.73
O26 0.1943 0.4299 0.1755  1 As 1.71
O27 0.5719 0.6896 0.9258  1 As 1.71
O28 0.6270 0.7474 0.5080  1 As 1.72
O29 0.2425 0.7728 0.4748  1 As 1.71
O30 0.9269 0.0932 0.1159  1 As 1.71
Fe4 0.2539 0.3829 0.9716  6 O 1.95-2.01
Fe5 0.7499 0.1151 0.9750  6 O 1.95-2.03
O31 0.3619 0.5176 0.9229  1 As 1.72
O32 0.8730 0.7526 0.0080  1 As 1.72
O33 0.7575 0.2272 0.5252  1 As 1.71
O34 0.8057 0.5701 0.8245  1 As 1.71
As10 0.5370 0.9913 0.2494  4 O 1.71-1.73
O35 0.0969 0.5946 0.3658  1 As 1.72
O36 0.3843 0.6623 0.6872  1 As 1.73
O37 0.8843 0.1623 0.8128  1 As 1.73
O38 0.0598 0.4394 0.8849  1 As 1.72
O39 0.4402 0.0606 0.3849  1 As 1.72
O40 0.3057 0.0701 0.6755  1 As 1.71
O41 0.1673 0.1862 0.2853  1 As 1.72
O42 0.2575 0.7272 0.9748  1 As 1.71
O43 0.6943 0.9299 0.3245  1 As 1.71
Fe6 0.2499 0.6151 0.5250  6 O 1.95-2.03
As11 0.6116 0.3481 0.1216  4 O 1.71-1.73
Fe7 0.2501 0.8849 0.0250  6 O 1.95-2.03
O44 0.1270 0.2474 0.9920  1 As 1.72
O45 0.5731 0.4068 0.6159  1 As 1.71
As12 0.1116 0.8481 0.3784  4 O 1.71-1.73
O46 0.7425 0.2728 0.0252  1 As 1.71
O47 0.0727 0.6117 0.6717  1 As 1.73
O48 0.4273 0.8883 0.1717  1 As 1.73
Fe8 0.7501 0.3849 0.4750  6 O 1.95-2.03

Output
Symmetry: P2_1/c
Formation energy: -1.36 eV per atom
Calculated volume: 964.8 Å³ per cell
Magnetic moment: 28.004 Bohr magnetons per cell